No. 1
Dy2TeS2 | r2SCAN | optimized geometry

a = 7.5329 Å, b = 7.5329 Å, c = 7.5329 Å
α = 147.74°, β = 138.45°, γ = 53.56°
Fractional positions:
Dy 0.8335 0.3335 0.5000
Dy 0.1665 0.6665 0.5000
Te 0.0000 0.0000 0.0000
S 0.7035 0.7035 0.0000
S 0.2965 0.2965 0.0000

calculated density: 5.704 g/cm³
magnetic moment: 0.000 μB/cell
energy of formation from the pure elements: -2.16 eV per atom
E: -116.24 eV for the cell shown

=====

No. 2
DyTlS2 | r2SCAN | optimized geometry

a = 7.8443 Å, b = 7.8443 Å, c = 7.8443 Å
α = 29.64°, β = 29.64°, γ = 29.64°
Fractional positions:
Dy 0.0000 0.0000 0.0000
Tl 0.5000 0.5000 0.5000
S 0.7326 0.7326 0.7326
S 0.2674 0.2674 0.2674

calculated density: 6.850 g/cm³
magnetic moment: 0.000 μB/cell
energy of formation from the pure elements: -1.72 eV per atom
E: -108.10 eV for the cell shown

=====

No. 3
YbDy2S4 | r2SCAN | optimized geometry

a = 7.1566 Å, b = 7.1566 Å, c = 7.1566 Å
α = 110.06°, β = 110.06°, γ = 108.30°
Fractional positions:
Yb 0.7500 0.2500 0.5000
Yb 0.5000 0.5000 0.0000
Dy 0.0183 0.3750 0.1433
Dy 0.6250 0.7683 0.6433
Dy 0.2317 0.8750 0.8567
Dy 0.1250 0.9817 0.3567
S 0.5139 0.1307 0.7529
S 0.0110 0.1278 0.7471
S 0.8722 0.6193 0.8832
S 0.3807 0.2639 0.2529
S 0.2390 0.4861 0.6168
S 0.3778 0.7610 0.2471
S 0.8693 0.6222 0.3832
S 0.7361 0.9890 0.1168

calculated density: 7.374 g/cm³
magnetic moment: 0.000 μB/cell
energy of formation from the pure elements: -2.24 eV per atom
E: -296.69 eV for the cell shown

=====

No. 4
YbDyS3 | r2SCAN | optimized geometry

a = 3.7997 Å, b = 10.5437 Å, c = 10.5029 Å
α = 90.00°, β = 90.00°, γ = 90.00°
Fractional positions:
Yb 0.7500 0.4932 0.6889
Yb 0.7500 0.0068 0.1889
Yb 0.2500 0.5068 0.3111
Yb 0.2500 0.9932 0.8111
Dy 0.2500 0.1861 0.4889
Dy 0.2500 0.3139 0.9889
Dy 0.7500 0.8139 0.5111
Dy 0.7500 0.6861 0.0111
S 0.2500 0.3101 0.7243
S 0.2500 0.1899 0.2243
S 0.7500 0.6899 0.2757
S 0.7500 0.8101 0.7757
S 0.7500 0.0563 0.6217
S 0.7500 0.4437 0.1217
S 0.2500 0.9437 0.3783
S 0.2500 0.5563 0.8783
S 0.2500 0.6254 0.5483
S 0.2500 0.8746 0.0483
S 0.7500 0.3746 0.4517
S 0.7500 0.1254 0.9517

calculated density: 6.815 g/cm³
magnetic moment: 0.000 μB/cell
energy of formation from the pure elements: -2.35 eV per atom
E: -417.38 eV for the cell shown

=====

No. 5
Dy2ZnS4 | r2SCAN | optimized geometry

a = 6.2995 Å, b = 7.8721 Å, c = 13.4845 Å
α = 90.00°, β = 90.00°, γ = 90.00°
Fractional positions:
Dy 0.0000 0.5000 0.0000
Dy 0.5000 0.0000 0.5000
Dy 0.0000 0.0000 0.0000
Dy 0.5000 0.5000 0.5000
Dy 0.9942 0.7500 0.2664
Dy 0.5058 0.7500 0.7664
Dy 0.0058 0.2500 0.7336
Dy 0.4942 0.2500 0.2336
Zn 0.4106 0.7500 0.0920
Zn 0.0894 0.7500 0.5920
Zn 0.5894 0.2500 0.9080
Zn 0.9106 0.2500 0.4080
S 0.7731 0.7500 0.0902
S 0.7269 0.7500 0.5902
S 0.2269 0.2500 0.9098
S 0.2731 0.2500 0.4098
S 0.2419 0.7500 0.4310
S 0.2581 0.7500 0.9310
S 0.7581 0.2500 0.5690
S 0.7419 0.2500 0.0690
S 0.7450 0.4849 0.3318
S 0.7550 0.0151 0.8318
S 0.2550 0.9849 0.6682
S 0.2450 0.5151 0.1682
S 0.2550 0.5151 0.6682
S 0.2450 0.9849 0.1682
S 0.7450 0.0151 0.3318
S 0.7550 0.4849 0.8318

calculated density: 5.152 g/cm³
magnetic moment: 0.000 μB/cell
energy of formation from the pure elements: -1.97 eV per atom
E: -475.07 eV for the cell shown

=====

No. 6
DySb | r2SCAN | optimized geometry

a = 4.3773 Å, b = 4.3773 Å, c = 4.3773 Å
α = 60.00°, β = 60.00°, γ = 60.00°
Fractional positions:
Dy 0.0000 0.0000 0.0000
Sb 0.5000 0.5000 0.5000

calculated density: 7.959 g/cm³
magnetic moment: 0.000 μB/cell
energy of formation from the pure elements: -1.37 eV per atom
E: -60.42 eV for the cell shown

=====

No. 7
Dy5Si2Sb2 | r2SCAN | optimized geometry

a = 8.4975 Å, b = 8.4975 Å, c = 7.8631 Å
α = 90.00°, β = 90.00°, γ = 125.07°
Fractional positions:
Dy 0.0402 0.2917 0.3341
Dy 0.9598 0.7083 0.6659
Dy 0.4598 0.2083 0.8341
Dy 0.7917 0.5402 0.1659
Dy 0.5402 0.7917 0.1659
Dy 0.2083 0.4598 0.8341
Dy 0.7083 0.9598 0.6659
Dy 0.2917 0.0402 0.3341
Dy 0.0000 0.0000 0.0000
Dy 0.5000 0.5000 0.5000
Si 0.3681 0.3681 0.1305
Si 0.6319 0.6319 0.8695
Si 0.1319 0.1319 0.6305
Si 0.8681 0.8681 0.3695
Sb 0.7948 0.2052 0.0000
Sb 0.2052 0.7948 0.0000
Sb 0.7052 0.2948 0.5000
Sb 0.2948 0.7052 0.5000

calculated density: 7.948 g/cm³
magnetic moment: 0.000 μB/cell
energy of formation from the pure elements: -1.06 eV per atom
E: -476.85 eV for the cell shown

=====

No. 8
DyVSb3 | r2SCAN | optimized geometry

a = 6.1828 Å, b = 6.1514 Å, c = 12.7536 Å
α = 90.00°, β = 90.00°, γ = 90.00°
Fractional positions:
Dy 0.7500 0.4960 0.3137
Dy 0.2500 0.5040 0.6863
Dy 0.2500 0.0040 0.3137
Dy 0.7500 0.9960 0.6863
V 0.5000 0.2500 0.9011
V 0.0000 0.7500 0.0990
V 0.5000 0.7500 0.0990
V 0.0000 0.2500 0.9011
Sb 0.7500 0.3913 0.0666
Sb 0.2500 0.6088 0.9334
Sb 0.2500 0.1088 0.0666
Sb 0.7500 0.8912 0.9334
Sb 0.7500 0.0074 0.2281
Sb 0.2500 0.9927 0.7719
Sb 0.2500 0.4926 0.2281
Sb 0.7500 0.5073 0.7719
Sb 0.5000 0.2500 0.5026
Sb 0.0000 0.7500 0.4973
Sb 0.5000 0.7500 0.4973
Sb 0.0000 0.2500 0.5026

calculated density: 7.925 g/cm³
magnetic moment: 7.313 μB/cell
energy of formation from the pure elements: -0.61 eV per atom
E: -504.92 eV for the cell shown

=====

No. 9
DyZrSb | r2SCAN | optimized geometry

a = 4.2680 Å, b = 4.2680 Å, c = 8.8404 Å
α = 103.97°, β = 103.97°, γ = 90.00°
Fractional positions:
Dy 0.6763 0.6763 0.3527
Dy 0.3237 0.3237 0.6473
Zr 0.0000 0.5000 0.0000
Zr 0.5000 0.0000 0.0000
Sb 0.1335 0.1335 0.2670
Sb 0.8665 0.8665 0.7330

calculated density: 8.239 g/cm³
magnetic moment: 0.000 μB/cell
energy of formation from the pure elements: -0.92 eV per atom
E: -166.42 eV for the cell shown

=====

No. 10
DySe2 | r2SCAN | optimized geometry

a = 4.0583 Å, b = 4.0583 Å, c = 8.2967 Å
α = 90.00°, β = 90.00°, γ = 90.00°
Fractional positions:
Dy 0.7500 0.7500 0.7269
Dy 0.2500 0.2500 0.2731
Se 0.7500 0.2500 0.0000
Se 0.2500 0.7500 0.0000
Se 0.7500 0.7500 0.3697
Se 0.2500 0.2500 0.6303

calculated density: 7.788 g/cm³
magnetic moment: 0.000 μB/cell
energy of formation from the pure elements: -1.79 eV per atom
E: -131.95 eV for the cell shown

=====

No. 11
Dy6Se11 | r2SCAN | optimized geometry

a = 11.5347 Å, b = 11.5777 Å, c = 12.0335 Å
α = 89.95°, β = 89.74°, γ = 88.39°
Fractional positions:
Dy 0.0089 0.7518 0.4986
Dy 0.1385 0.1399 0.3327
Dy 0.1386 0.1369 0.6636
Dy 0.1555 0.1569 0.0007
Dy 0.2393 0.4861 0.5000
Dy 0.2466 0.5040 0.1694
Dy 0.2555 0.5007 0.8289
Dy 0.3877 0.8800 0.6668
Dy 0.3846 0.8801 0.3314
Dy 0.3872 0.8934 0.0007
Dy 0.4815 0.2231 0.4963
Dy 0.4948 0.2404 0.8350
Dy 0.5026 0.2484 0.1721
Dy 0.6242 0.6265 0.9995
Dy 0.6543 0.6594 0.6714
Dy 0.6471 0.6456 0.3360
Dy 0.7497 0.0085 0.4989
Dy 0.7386 0.9859 0.1628
Dy 0.7393 0.9909 0.8366
Dy 0.8950 0.3917 0.6686
Dy 0.8796 0.3851 0.3373
Dy 0.8916 0.3874 0.0005
Dy 0.9903 0.7386 0.8377
Dy 0.9848 0.7363 0.1623
Se 0.0035 0.0064 0.4952
Se 0.0585 0.3107 0.4995
Se 0.0665 0.3150 0.1667
Se 0.0704 0.3136 0.8333
Se 0.0697 0.5685 0.9993
Se 0.0748 0.5700 0.6678
Se 0.0668 0.5680 0.3340
Se 0.0642 0.9198 0.9995
Se 0.1214 0.8861 0.3016
Se 0.1261 0.8837 0.6928
Se 0.2450 0.7677 0.8365
Se 0.2364 0.7736 0.1600
Se 0.2708 0.7367 0.5009
Se 0.3075 0.0516 0.4986
Se 0.3147 0.0688 0.1660
Se 0.3115 0.0658 0.8345
Se 0.3183 0.3167 0.3353
Se 0.3229 0.3139 0.6621
Se 0.3298 0.3303 0.0010
Se 0.3692 0.6399 0.9947
Se 0.4109 0.5964 0.6507
Se 0.3912 0.6161 0.3493
Se 0.5257 0.4859 0.7904
Se 0.5048 0.5027 0.1913
Se 0.5663 0.0670 0.6685
Se 0.5686 0.0659 0.3319
Se 0.5697 0.0690 0.0011
Se 0.5596 0.8131 0.8344
Se 0.5584 0.8101 0.1672
Se 0.5707 0.8176 0.5005
Se 0.6185 0.3905 0.3759
Se 0.6358 0.3718 0.9959
Se 0.7238 0.2816 0.5237
Se 0.7615 0.2504 0.8288
Se 0.7671 0.2417 0.1648
Se 0.8144 0.5599 0.8326
Se 0.8096 0.5564 0.1687
Se 0.8032 0.8030 0.9997
Se 0.8158 0.5694 0.5062
Se 0.8290 0.8305 0.6705
Se 0.8234 0.8234 0.3316
Se 0.8789 0.1317 0.6874
Se 0.8802 0.1274 0.3089
Se 0.9135 0.0697 0.9987

calculated density: 7.623 g/cm³
magnetic moment: 0.000 μB/cell
energy of formation from the pure elements: -1.93 eV per atom
E: -1528.52 eV for the cell shown

=====

No. 12
SrDy2Se4 | r2SCAN | optimized geometry

a = 4.1399 Å, b = 12.5889 Å, c = 14.9442 Å
α = 90.00°, β = 90.00°, γ = 90.00°
Fractional positions:
Sr 0.2500 0.7584 0.6640
Sr 0.7500 0.7416 0.1640
Sr 0.2500 0.2584 0.8360
Sr 0.7500 0.2416 0.3360
Dy 0.2500 0.4352 0.6108
Dy 0.7500 0.0648 0.1108
Dy 0.2500 0.9352 0.8892
Dy 0.7500 0.5648 0.3892
Dy 0.2500 0.4182 0.0987
Dy 0.7500 0.0818 0.5987
Dy 0.2500 0.9182 0.4013
Dy 0.7500 0.5818 0.9013
Se 0.2500 0.4114 0.4221
Se 0.7500 0.0886 0.9221
Se 0.2500 0.9114 0.0779
Se 0.7500 0.5886 0.5779
Se 0.2500 0.0245 0.7155
Se 0.7500 0.4755 0.2155
Se 0.2500 0.5245 0.7845
Se 0.7500 0.9755 0.2845
Se 0.2500 0.1299 0.4709
Se 0.7500 0.3701 0.9709
Se 0.2500 0.6299 0.0291
Se 0.7500 0.8701 0.5291
Se 0.2500 0.2068 0.1724
Se 0.7500 0.2932 0.6724
Se 0.2500 0.7068 0.3276
Se 0.7500 0.7932 0.8276

calculated density: 6.213 g/cm³
magnetic moment: 0.000 μB/cell
energy of formation from the pure elements: -2.26 eV per atom
E: -608.76 eV for the cell shown

=====

No. 13
DyTlSe2 | r2SCAN | optimized geometry

a = 8.0954 Å, b = 8.0954 Å, c = 8.0954 Å
α = 29.81°, β = 29.81°, γ = 29.81°
Fractional positions:
Dy 0.0000 0.0000 0.0000
Tl 0.5000 0.5000 0.5000
Se 0.7346 0.7346 0.7346
Se 0.2654 0.2654 0.2654

calculated density: 7.506 g/cm³
magnetic moment: 0.000 μB/cell
energy of formation from the pure elements: -1.61 eV per atom
E: -120.23 eV for the cell shown

=====

No. 14
DySi2 | r2SCAN | optimized geometry

a = 3.9063 Å, b = 3.9063 Å, c = 7.9748 Å
α = 104.18°, β = 104.18°, γ = 90.00°
Fractional positions:
Dy 0.2500 0.7500 0.5000
Dy 0.0000 0.0000 0.0000
Si 0.6686 0.1686 0.3372
Si 0.5814 0.5814 0.1628
Si 0.8314 0.3314 0.6628
Si 0.4186 0.4186 0.8372

calculated density: 6.362 g/cm³
magnetic moment: 0.000 μB/cell
energy of formation from the pure elements: -0.56 eV per atom
E: -102.45 eV for the cell shown

=====

No. 15
Dy5Si3 | r2SCAN | optimized geometry

a = 8.4213 Å, b = 8.4213 Å, c = 6.3662 Å
α = 90.00°, β = 90.00°, γ = 120.00°
Fractional positions:
Dy 0.0000 0.7572 0.7500
Dy 0.0000 0.2428 0.2500
Dy 0.7572 0.7572 0.2500
Dy 0.7572 0.0000 0.7500
Dy 0.2428 0.2428 0.7500
Dy 0.2428 0.0000 0.2500
Dy 0.6667 0.3333 0.0000
Dy 0.3333 0.6667 0.5000
Dy 0.3333 0.6667 0.0000
Dy 0.6667 0.3333 0.5000
Si 0.3941 0.0000 0.7500
Si 0.3941 0.3941 0.2500
Si 0.0000 0.6059 0.2500
Si 0.0000 0.3941 0.7500
Si 0.6059 0.6059 0.7500
Si 0.6059 0.0000 0.2500

calculated density: 7.617 g/cm³
magnetic moment: 0.000 μB/cell
energy of formation from the pure elements: -0.78 eV per atom
E: -384.88 eV for the cell shown

=====

No. 16
Dy5Si4 | r2SCAN | optimized geometry

a = 7.4377 Å, b = 7.6728 Å, c = 14.5479 Å
α = 90.00°, β = 90.00°, γ = 90.00°
Fractional positions:
Dy 0.6461 0.9892 0.7499
Dy 0.1461 0.5108 0.7499
Dy 0.8539 0.4891 0.2501
Dy 0.3539 0.0109 0.2501
Dy 0.9695 0.8173 0.9009
Dy 0.4696 0.6826 0.5989
Dy 0.5305 0.3173 0.0991
Dy 0.0304 0.1826 0.4010
Dy 0.0305 0.1827 0.0991
Dy 0.5304 0.3174 0.4010
Dy 0.4695 0.6827 0.9009
Dy 0.9696 0.8174 0.5989
Dy 0.6846 0.8201 0.1227
Dy 0.1847 0.6799 0.3774
Dy 0.8154 0.3201 0.8773
Dy 0.3153 0.1799 0.6226
Dy 0.3154 0.1799 0.8773
Dy 0.8153 0.3201 0.6226
Dy 0.1846 0.6799 0.1227
Dy 0.6847 0.8201 0.3774
Si 0.7632 0.6275 0.7499
Si 0.2632 0.8725 0.7499
Si 0.7368 0.1275 0.2501
Si 0.2368 0.3725 0.2501
Si 0.0185 0.1043 0.7499
Si 0.5185 0.3957 0.7499
Si 0.4815 0.6043 0.2501
Si 0.9815 0.8957 0.2501
Si 0.8569 0.5275 0.0403
Si 0.3569 0.9725 0.4597
Si 0.6431 0.0275 0.9596
Si 0.1431 0.4725 0.5403
Si 0.1431 0.4725 0.9596
Si 0.6431 0.0275 0.5403
Si 0.3569 0.9725 0.0403
Si 0.8569 0.5275 0.4597

calculated density: 7.399 g/cm³
magnetic moment: 0.013 μB/cell
energy of formation from the pure elements: -0.83 eV per atom
E: -809.88 eV for the cell shown

=====

No. 17
DyTiSi | r2SCAN | optimized geometry

a = 4.0107 Å, b = 4.0107 Å, c = 7.6686 Å
α = 90.00°, β = 90.00°, γ = 90.00°
Fractional positions:
Dy 0.7500 0.7500 0.3495
Dy 0.2500 0.2500 0.6505
Ti 0.7500 0.2500 0.0000
Ti 0.2500 0.7500 0.0000
Si 0.7500 0.7500 0.7643
Si 0.2500 0.2500 0.2357

calculated density: 6.420 g/cm³
magnetic moment: 2.595 μB/cell
energy of formation from the pure elements: -0.73 eV per atom
E: -111.77 eV for the cell shown